1.
! TaS3 r2SCAN optimized geometry; values from VASP
&SYSTEM
  ibrav = 0, nat = 24, ntyp = 2
/
ATOMIC_SPECIES
Ta 180.95 Ta.upf
S 32.06 S.upf
CELL_PARAMETERS angstrom
-1.272 -3.106 0.207
7.959 -3.552 -4.400
2.369 0.021 14.894
ATOMIC_POSITIONS angstrom
Ta 3.758 -2.470 -0.316
Ta 5.298 -4.166 11.017
Ta 2.444 -1.150 11.434
Ta 6.612 -5.486 -0.733
Ta 2.009 -1.320 6.197
Ta 7.048 -5.316 4.504
S 4.887 -2.090 12.337
S 4.169 -4.546 -1.636
S 7.576 -3.324 10.332
S 1.480 -3.312 0.369
S 6.006 -2.767 9.054
S 3.050 -3.869 1.647
S 7.139 -4.008 -2.634
S 1.918 -2.628 13.335
S 1.030 -1.077 3.825
S 8.026 -5.559 6.875
S 6.050 -3.354 0.497
S 3.006 -3.282 10.204
S 6.359 -3.143 5.575
S 2.698 -3.494 5.126
S 1.415 -0.911 8.692
S 7.641 -5.725 2.009
S 6.115 -3.179 3.527
S 2.942 -3.457 7.173
! Formation energy   -3.67 eV per formula unit
! Final energy   -19.09 eV per atom
! SG   P2_1/m (11)



2.
! Ta6S r2SCAN optimized geometry; values from VASP
&SYSTEM
  ibrav = 0, nat = 28, ntyp = 2
/
ATOMIC_SPECIES
Ta 180.95 Ta.upf
S 32.06 S.upf
CELL_PARAMETERS angstrom
-2.929 2.023 -3.902
-2.563 -5.525 -4.515
-12.191 -0.227 5.459
ATOMIC_POSITIONS angstrom
Ta -6.114 -1.339 1.460
Ta -3.258 -0.160 -3.647
Ta -11.569 -2.391 -4.418
Ta -14.425 -3.570 0.689
Ta -7.318 -1.867 -1.462
Ta -2.036 0.357 -0.700
Ta -10.366 -1.863 -1.496
Ta -15.647 -4.086 -2.258
Ta -6.819 -3.352 -6.290
Ta -8.116 -1.599 -4.408
Ta -10.864 -0.377 3.332
Ta -9.567 -2.130 1.450
Ta -6.781 1.069 -0.452
Ta -2.662 -2.518 -1.830
Ta -10.902 -4.798 -2.506
Ta -15.021 -1.212 -1.128
Ta -6.788 -4.584 -3.140
Ta -5.023 -2.525 -3.396
Ta -10.896 0.854 0.182
Ta -12.660 -1.205 0.439
Ta -11.538 -3.958 0.126
Ta -12.978 -3.025 -1.884
Ta -6.146 0.228 -3.084
Ta -4.705 -0.704 -1.074
S -8.769 -0.386 -0.149
S -13.222 -1.045 2.853
S -8.915 -3.344 -2.809
S -4.462 -2.685 -5.811
! Formation energy   -2.13 eV per formula unit
! Final energy   -43.10 eV per atom
! SG   C2/c (15)



3.
! Ta5S8 r2SCAN optimized geometry; values from VASP
&SYSTEM
  ibrav = 0, nat = 13, ntyp = 2
/
ATOMIC_SPECIES
Ta 180.95 Ta.upf
S 32.06 S.upf
CELL_PARAMETERS angstrom
0.668 2.883 -1.388
-12.554 -0.647 -3.616
-2.604 2.714 4.380
ATOMIC_POSITIONS angstrom
Ta -9.163 2.348 -3.422
Ta -10.843 2.285 -0.515
Ta -3.690 2.686 -0.087
Ta -5.283 2.581 2.775
Ta -8.063 2.433 1.130
S -7.673 0.522 -2.646
S -8.612 3.310 -1.161
S -6.845 4.438 2.032
S -5.848 1.629 0.526
S -1.465 1.831 -0.788
S -3.080 1.746 2.101
S -13.046 3.120 0.159
S -11.388 3.203 -2.721
! Formation energy   -15.24 eV per formula unit
! Final energy   -24.81 eV per atom
! SG   P-1 (2)



4.
! Ta5S8 r2SCAN optimized geometry; values from VASP
&SYSTEM
  ibrav = 0, nat = 13, ntyp = 2
/
ATOMIC_SPECIES
Ta 180.95 Ta.upf
S 32.06 S.upf
CELL_PARAMETERS angstrom
1.634 12.986 0.004
-1.634 12.986 0.004
0.000 1.153 5.657
ATOMIC_POSITIONS angstrom
Ta 0.000 10.443 3.580
Ta 0.000 22.816 0.714
Ta 0.000 16.683 2.085
Ta 0.000 4.310 4.951
Ta 0.000 0.000 0.000
S 0.000 25.195 4.184
S 0.000 11.654 1.374
S 0.000 15.471 4.291
S 0.000 1.931 1.481
S 0.000 18.595 3.673
S 0.000 5.054 0.844
S 0.000 22.072 4.821
S 0.000 8.530 1.992
! Formation energy   -15.23 eV per formula unit
! Final energy   -24.81 eV per atom
! SG   C2/m (12)



Asked for spin magnetization across the records above, the calculation gives 0.0; 0.0; 0.0; 0.0 Bohr magnetons per cell in order.